(1)
Compound: Co21B6Sb2
Source: the Materials Project database
Functional: PBE
Structure: relaxed

Output
The energy of formation comes out at -0.20 eV/atom. Its total magnetization is 72.74 Bohr magnetons per cell. The calculation puts the total energy at -6.999 eV/atom.

Lattice parameters (Å, degrees): 10.543 10.543 10.543 90.00 90.00 90.00
Space group Fm-3m (No. 225)
Unique sites:
Co (0.000, 0.000, 0.000)
Co (0.000, 0.167, 0.167)
Co (0.116, 0.116, 0.384)
B (0.000, 0.000, 0.276)
Sb (0.250, 0.250, 0.250)


(2)
Compound: Co22B6Sb
Source: the Materials Project database
Functional: PBE
Structure: relaxed

Output
The energy of formation comes out at -0.10 eV/atom. Its total magnetization is 102.74 Bohr magnetons per cell. The calculation puts the total energy at -7.013 eV/atom.

Lattice parameters (Å, degrees): 10.533 10.533 10.533 90.00 90.00 90.00
Space group Fm-3m (No. 225)
Unique sites:
Co (0.000, 0.173, 0.173)
Co (0.119, 0.119, 0.381)
Co (0.250, 0.250, 0.250)
B (0.000, 0.000, 0.280)
Sb (0.000, 0.000, 0.000)


(3)
Compound: ScCo3B2
Source: the Materials Project database
Functional: PBE
Structure: relaxed

Output
The energy of formation comes out at -0.55 eV/atom. The calculation puts the total energy at -7.382 eV/atom.

Lattice parameters (Å, degrees): 4.8868 4.8868 2.9812 90.00 90.00 120.00
Space group P6/mmm (No. 191)
Unique sites:
Sc (0.0000, 0.0000, 0.0000)
Co (0.0000, 0.5000, 0.5000)
B (0.3333, 0.6667, 0.0000)


(4)
Compound: Sc2Co21B6
Source: the Materials Project database
Functional: PBE
Structure: relaxed

Output
The energy of formation comes out at -0.26 eV/atom. Its total magnetization is 82.81 Bohr magnetons per cell. The calculation puts the total energy at -7.228 eV/atom.

Lattice parameters (Å, degrees): 10.558 10.558 10.558 90.00 90.00 90.00
Space group Fm-3m (No. 225)
Unique sites:
Sc (0.250, 0.250, 0.250)
Co (0.000, 0.000, 0.000)
Co (0.000, 0.168, 0.168)
Co (0.115, 0.115, 0.385)
B (0.000, 0.000, 0.275)


(5)
Compound: Tm3Co29Si4B10
Source: the Materials Project database
Functional: PBE
Structure: relaxed

Output
The energy of formation comes out at -0.43 eV/atom. Its total magnetization is 38.21 Bohr magnetons per cell. The calculation puts the total energy at -7.122 eV/atom.

Lattice parameters (Å, degrees): 11.115 11.115 7.812 90.00 90.00 90.00
Space group P4/nmm (No. 129, origin choice 2)
Unique sites:
Tm (0.000, 0.000, 0.000)
Tm (0.250, 0.750, 0.500)
Co (0.022, 0.250, 0.473)
Co (0.076, 0.589, 0.336)
Co (0.085, 0.250, 0.970)
Co (0.134, 0.134, 0.248)
Co (0.140, 0.140, 0.698)
Co (0.140, 0.750, 0.111)
Co (0.250, 0.250, 0.466)
Si (0.068, 0.750, 0.825)
B (0.006, 0.750, 0.264)
B (0.064, 0.064, 0.482)
B (0.250, 0.250, 0.107)
B (0.250, 0.250, 0.851)


(6)
Compound: SmCo3B2
Source: the Materials Project database
Functional: PBE
Structure: relaxed

Output
The energy of formation comes out at -0.43 eV/atom. The calculation puts the total energy at -6.992 eV/atom.

Lattice parameters (Å, degrees): 5.0589 5.0589 3.0253 90.00 90.00 120.00
Space group P6/mmm (No. 191)
Unique sites:
Sm (0.0000, 0.0000, 0.0000)
Co (0.0000, 0.5000, 0.5000)
B (0.3333, 0.6667, 0.0000)


- What is the formula in the fourth record?
  Sc2Co21B6


- What is the energy of formation in the fifth record?
  -0.43 eV/atom